# 1
Y4AlSiNO8: relaxed, GGA-PBE.

Cell lengths 10.498, 7.667, 10.993 Å; angles 70.39, 90.00, 90.00 degrees
Sites, in units of the cell vectors:
N1 0.756 0.051 0.112
O1 0.526 0.284 0.676
Si1 0.817 0.847 0.115
Y1 0.909 0.470 0.808
O2 0.023 0.074 0.602
Y2 0.120 0.826 0.570
O3 0.269 0.576 0.520
Y3 0.409 0.530 0.692
O4 0.762 0.693 0.736
O5 0.995 0.568 0.606
O6 0.776 0.256 0.772
O7 0.262 0.307 0.764
O8 0.231 0.576 0.020
O9 0.224 0.744 0.228
O10 0.532 0.804 0.664
O11 0.977 0.926 0.398
Al1 0.686 0.265 0.631
O12 0.505 0.568 0.106
O13 0.206 0.176 0.027
Y4 0.899 0.980 0.780
Y5 0.873 0.656 0.420
Si2 0.683 0.847 0.615
Y6 0.627 0.656 0.920
Y7 0.380 0.826 0.070
Y8 0.127 0.344 0.580
Al2 0.314 0.735 0.369
O14 0.005 0.432 0.394
O15 0.468 0.196 0.336
O16 0.706 0.824 0.473
Y9 0.620 0.174 0.930
O17 0.294 0.176 0.527
O18 0.731 0.424 0.480
Y10 0.373 0.344 0.080
O19 0.523 0.926 0.898
Si3 0.183 0.153 0.885
O20 0.724 0.256 0.272
O21 0.974 0.284 0.176
Al3 0.814 0.265 0.131
Al4 0.186 0.735 0.869
O22 0.968 0.804 0.164
O23 0.276 0.744 0.728
N2 0.244 0.949 0.888
O24 0.474 0.716 0.324
Si4 0.317 0.153 0.385
Y11 0.399 0.020 0.720
O25 0.794 0.824 0.973
O26 0.769 0.424 0.980
N3 0.744 0.051 0.612
O27 0.495 0.432 0.894
O28 0.026 0.716 0.824
Y12 0.101 0.020 0.220
O29 0.238 0.307 0.264
O30 0.738 0.693 0.236
N4 0.256 0.949 0.388
Y13 0.091 0.530 0.192
Y14 0.591 0.470 0.308
O31 0.477 0.074 0.102
Y15 0.601 0.980 0.280
O32 0.032 0.196 0.836
Y16 0.880 0.174 0.430

Summary:
- Volume: 13.9 Å³/atom
- Total moment: 0.00 μB/f.u.
- E_tot: -8.684 eV/atom
- Energy of formation from the pure elements: -3.5199 eV/atom


# 2
YAl6Si18N30O2: relaxed, GGA-PBE.

Cell lengths 7.940, 7.941, 11.439 Å; angles 90.43, 89.96, 119.67 degrees
Sites, in units of the cell vectors:
N1 0.331 0.667 0.670
N2 0.687 0.677 0.875
Si1 0.424 0.515 0.144
Si2 0.086 0.569 0.142
N3 0.001 0.004 0.502
N4 0.350 0.391 0.506
Si3 0.081 0.565 0.643
Al1 0.914 0.164 0.744
N5 0.687 0.690 0.376
N6 0.345 0.385 0.009
Si4 0.493 0.910 0.644
N7 0.952 0.602 0.758
Si5 0.092 0.261 0.498
Si6 0.566 0.075 0.886
O1 0.330 0.012 0.120
N8 0.608 0.955 0.998
Al2 0.573 0.087 0.399
Si7 0.510 0.430 0.890
N9 0.312 0.999 0.384
Si8 0.827 0.745 0.249
N10 0.992 0.984 0.241
N11 0.016 0.327 0.621
N12 0.043 0.660 0.512
N13 0.005 0.986 0.749
Si9 0.159 0.910 0.495
Si10 0.924 0.487 0.893
N14 0.419 0.357 0.252
Si11 0.835 0.740 0.748
Al3 0.253 0.082 0.253
O2 0.311 0.990 0.627
Al4 0.488 0.903 0.144
N15 0.936 0.592 0.253
Si12 0.742 0.836 0.994
N16 0.654 0.078 0.248
N17 0.614 0.950 0.515
N18 0.675 0.351 0.426
N19 0.030 0.645 0.012
N20 0.990 0.007 0.001
Si13 0.429 0.513 0.641
Si14 0.522 0.439 0.395
N21 0.003 0.323 0.876
N22 0.675 0.680 0.122
N23 0.680 0.683 0.627
Si15 0.081 0.258 0.997
Si16 0.748 0.835 0.503
Al5 0.163 0.913 0.994
N24 0.993 0.324 0.119
Si17 0.253 0.087 0.751
Al6 0.915 0.166 0.250
Y1 0.670 0.323 0.132
N25 0.322 0.654 0.177
N26 0.666 0.331 0.923
Si18 0.919 0.487 0.399
N27 0.325 0.009 0.869
N28 0.390 0.343 0.754
N29 0.008 0.328 0.380
N30 0.646 0.045 0.753

Summary:
- Volume: 11.0 Å³/atom
- Total moment: 1.02 μB/f.u.
- E_tot: -7.974 eV/atom
- Energy of formation from the pure elements: -1.2156 eV/atom


# 3
Y2AlSiNO5: relaxed, GGA-PBE.

Cell lengths 4.049, 5.180, 27.452 Å; angles 89.10, 86.05, 124.31 degrees
Sites, in units of the cell vectors:
Y1 0.061 0.109 0.353
Al1 0.693 0.386 0.576
O1 0.646 0.447 0.636
O2 0.828 0.620 0.750
O3 0.477 0.838 0.699
Y2 0.987 0.938 0.821
Si1 0.211 0.613 0.419
Si2 0.262 0.634 0.081
O4 0.090 0.861 0.418
N1 0.368 0.314 0.877
N2 0.462 0.088 0.536
N3 0.136 0.247 0.751
O5 0.701 0.220 0.970
O6 0.630 0.203 0.306
Si3 0.232 0.611 0.751
O7 0.546 0.149 0.193
Al2 0.747 0.303 0.908
Y3 0.974 0.059 0.487
O8 0.390 0.794 0.803
O9 0.379 0.601 0.472
Y4 0.119 0.140 0.012
Y5 0.094 0.990 0.681
O10 0.423 0.629 0.135
Al3 0.683 0.321 0.246
O11 0.842 0.241 0.418
O12 0.455 0.648 0.365
O13 0.510 0.667 0.028
Y6 0.028 0.078 0.146
O14 0.894 0.262 0.082
O15 0.138 0.882 0.080

Summary:
- Volume: 15.8 Å³/atom
- Total moment: 0.40 μB/f.u.
- E_tot: -7.886 eV/atom
- Energy of formation from the pure elements: -2.7113 eV/atom


# 4
Sm2AlNO3: relaxed, GGA-PBE.

Cell lengths 6.743, 6.743, 6.743 Å; angles 148.19, 148.19, 45.60 degrees
Sites, in units of the cell vectors:
O1 0.671 0.171 0.500
Al1 0.157 0.157 0.000
Sm1 0.518 0.518 0.000
N1 0.996 0.996 0.000
Sm2 0.808 0.808 0.000
O2 0.332 0.332 0.000
O3 0.171 0.671 0.500

Summary:
- Volume: 12.1 Å³/atom
- Total moment: 0.00 μB/f.u.
- E_tot: -7.966 eV/atom
- Maximum piezoelectric response: 2.404 C/m²
- Energy of formation from the pure elements: -3.0660 eV/atom


# 5
AlPb3N3: relaxed, GGA-PBE.

Cell lengths 10.337, 10.335, 3.616 Å; angles 90.00, 90.00, 120.02 degrees
Sites, in units of the cell vectors:
N1 0.397 0.866 0.250
Pb1 0.366 0.342 0.250
N2 0.603 0.134 0.750
Pb2 0.634 0.658 0.750
N3 0.469 0.603 0.250
N4 0.865 0.468 0.750
N5 0.531 0.397 0.750
Al1 0.667 0.333 0.750
Pb3 0.658 0.024 0.250
Al2 0.333 0.667 0.250
N6 0.135 0.532 0.250
Pb4 0.342 0.976 0.750
Pb5 0.976 0.634 0.250
Pb6 0.024 0.366 0.750

Summary:
- Volume: 23.9 Å³/atom
- Total moment: 0.00 μB/f.u.
- E_tot: -5.618 eV/atom
- Energy of formation from the pure elements: -0.0734 eV/atom


# 6
Al2Pb3N4: relaxed, GGA-PBE.

Cell lengths 8.273, 8.837, 5.697 Å; angles 90.00, 77.59, 122.28 degrees
Sites, in units of the cell vectors:
N1 0.703 0.598 0.975
N2 0.519 0.683 0.591
Al1 0.520 0.864 0.422
Pb1 0.745 0.622 0.370
Al2 0.480 0.136 0.578
Pb2 0.000 0.632 0.750
Al3 0.480 0.344 0.078
N3 0.703 0.105 0.475
Pb3 0.255 0.877 0.130
N4 0.297 0.402 0.025
Pb4 0.000 0.368 0.250
Al4 0.520 0.656 0.922
N5 0.297 0.895 0.525
Pb5 0.255 0.378 0.630
N6 0.481 0.164 0.909
Pb6 0.745 0.123 0.870
N7 0.481 0.317 0.409
N8 0.519 0.836 0.091

Summary:
- Volume: 18.9 Å³/atom
- Total moment: 0.00 μB/f.u.
- E_tot: -5.993 eV/atom
- Energy of formation from the pure elements: -0.3786 eV/atom


# 7
Pr3AlN: relaxed, GGA-PBE.

Cell lengths 5.048, 5.048, 5.048 Å; angles 90.00, 90.00, 90.00 degrees
Sites, in units of the cell vectors:
Pr1 0.000 0.500 0.500
Pr2 0.500 0.500 0.000
N1 0.500 0.500 0.500
Pr3 0.500 0.000 0.500
Al1 0.000 0.000 0.000

Summary:
- Volume: 25.7 Å³/atom
- E_tot: -5.998 eV/atom
- Energy of formation from the pure elements: -0.7855 eV/atom
- ΔE to the lowest computed polymorph: 0.0 meV/atom


# 8
ScAlN2: relaxed, GGA-PBE.

Cell lengths 5.783, 6.789, 5.034 Å; angles 90.00, 90.00, 90.00 degrees
Sites, in units of the cell vectors:
Sc1 0.407 0.124 0.471
Sc2 0.593 0.876 0.971
N1 0.099 0.641 0.399
N2 0.061 0.110 0.364
N3 0.901 0.359 0.899
Al1 0.576 0.374 0.987
N4 0.599 0.859 0.399
Al2 0.076 0.126 0.987
N5 0.439 0.610 0.864
N6 0.401 0.141 0.899
N7 0.939 0.890 0.864
Sc3 0.093 0.624 0.971
Al3 0.424 0.626 0.487
Sc4 0.907 0.376 0.471
Al4 0.924 0.874 0.487
N8 0.561 0.390 0.364

Summary:
- Volume: 12.4 Å³/atom
- Total moment: 0.00 μB/f.u.
- E_tot: -8.185 eV/atom
- Energy of formation from the pure elements: -1.6775 eV/atom